# 1
First-principles (PBE) data for crystalline Th2CN at its relaxed geometry, as listed in the Materials Project.

Results
Energy of formation: -1.03 eV/atom
ρ: 11.027 Mg/m³

a = 6.453 Å, b = 6.453 Å, c = 6.453 Å
α = 33.72°, β = 33.72°, γ = 33.72°
Positions (direct):
1 Th 0.750 0.750 0.750
2 Th 0.250 0.250 0.250
3 N 0.500 0.500 0.500
4 C 0.000 0.000 0.000


# 2
First-principles (PBE) data for crystalline Ti5CN4 at its relaxed geometry, as listed in the Materials Project.

Results
Energy of formation: -1.69 eV/atom
ρ: 5.241 Mg/m³

a = 12.438 Å, b = 12.438 Å, c = 12.438 Å
α = 13.96°, β = 13.96°, γ = 13.96°
Positions (direct):
1 Ti 0.200 0.200 0.200
2 Ti 0.400 0.400 0.400
3 N 0.300 0.300 0.300
4 Ti 0.800 0.800 0.800
5 N 0.700 0.700 0.700
6 C 0.500 0.500 0.500
7 Ti 0.000 0.000 0.000
8 Ti 0.600 0.600 0.600
9 N 0.901 0.901 0.901
10 N 0.099 0.099 0.099


# 3
First-principles (PBE) data for crystalline TiC6N9 at its relaxed geometry, as listed in the Materials Project.

Results
Energy of formation: -0.02 eV/atom
ρ: 1.543 Mg/m³

a = 7.369 Å, b = 12.888 Å, c = 11.492 Å
α = 90.00°, β = 90.00°, γ = 29.02°
Positions (direct):
1 N 0.618 0.527 0.130
2 N 0.618 0.854 0.870
3 N 0.000 0.434 0.750
4 N 0.382 0.473 0.870
5 N 0.000 0.874 0.455
6 N 0.000 0.874 0.045
7 N 0.618 0.527 0.370
8 N 0.000 0.126 0.545
9 N 0.382 0.658 0.750
10 N 0.000 0.566 0.250
11 C 0.318 0.988 0.592
12 N 0.618 0.040 0.750
13 Ti 0.000 0.275 0.250
14 N 0.382 0.473 0.630
15 N 0.618 0.854 0.630
16 C 0.318 0.454 0.250
17 C 0.318 0.988 0.908
18 C 0.318 0.228 0.750
19 C 0.682 0.012 0.408
20 C 0.318 0.695 0.092
21 C 0.682 0.305 0.592
22 N 0.382 0.146 0.370
23 N 0.618 0.342 0.250
24 Ti 0.000 0.725 0.750
25 C 0.682 0.012 0.092
26 N 0.000 0.126 0.955
27 C 0.682 0.546 0.750
28 C 0.682 0.305 0.908
29 N 0.382 0.146 0.130
30 C 0.318 0.695 0.408
31 N 0.382 0.960 0.250
32 C 0.682 0.772 0.250


# 4
First-principles (PBE) data for crystalline Ti4C3N at its relaxed geometry, as listed in the Materials Project.

Results
Energy of formation: -1.10 eV/atom
ρ: 4.985 Mg/m³

a = 10.114 Å, b = 10.114 Å, c = 10.114 Å
α = 17.37°, β = 17.37°, γ = 17.37°
Positions (direct):
1 N 0.000 0.000 0.000
2 Ti 0.624 0.624 0.624
3 Ti 0.125 0.125 0.125
4 C 0.251 0.251 0.251
5 C 0.749 0.749 0.749
6 C 0.500 0.500 0.500
7 Ti 0.875 0.875 0.875
8 Ti 0.376 0.376 0.376


# 5
First-principles (PBE) data for crystalline Ti3C3N7 at its relaxed geometry, as listed in the Materials Project.

Results
Energy of formation: -0.58 eV/atom
ρ: 3.099 Mg/m³

a = 6.296 Å, b = 12.145 Å, c = 15.565 Å
α = 90.00°, β = 90.00°, γ = 90.00°
Positions (direct):
1 Ti 0.467 0.911 0.287
2 N 0.717 0.714 0.722
3 N 0.209 0.141 0.513
4 N 0.502 0.411 0.852
5 C 0.507 0.079 0.994
6 N 0.458 0.779 0.829
7 C 0.602 0.449 0.789
8 Ti 0.033 0.089 0.787
9 C 0.516 0.359 0.019
10 Ti 0.132 0.351 0.829
11 N 0.114 0.434 0.728
12 N 0.283 0.214 0.778
13 C 0.493 0.579 0.506
14 N 0.208 0.019 0.271
15 N 0.792 0.519 0.229
16 N 0.576 0.201 0.405
17 N 0.121 0.753 0.688
18 N 0.386 0.566 0.228
19 C 0.898 0.551 0.289
20 N 0.042 0.221 0.329
21 C 0.145 0.219 0.552
22 N 0.550 0.433 0.081
23 C 0.007 0.421 0.006
24 C 0.583 0.744 0.776
25 N 0.896 0.222 0.005
26 Ti 0.306 0.546 0.105
27 C 0.102 0.051 0.211
28 N 0.104 0.722 0.495
29 N 0.709 0.359 0.487
30 N 0.424 0.701 0.095
31 Ti 0.967 0.589 0.713
32 N 0.542 0.279 0.671
33 N 0.077 0.920 0.567
34 N 0.292 0.981 0.771
35 C 0.917 0.256 0.276
36 C 0.993 0.921 0.494
37 C 0.783 0.099 0.606
38 N 0.783 0.286 0.222
39 C 0.217 0.599 0.894
40 C 0.355 0.781 0.052
41 C 0.717 0.901 0.106
42 N 0.881 0.128 0.670
43 Ti 0.868 0.851 0.671
44 N 0.817 0.930 0.041
45 Ti 0.533 0.411 0.213
46 N 0.396 0.278 0.995
47 C 0.398 0.949 0.711
48 C 0.016 0.141 0.981
49 Ti 0.315 0.772 0.585
50 Ti 0.859 0.308 0.693
51 Ti 0.694 0.046 0.395
52 N 0.119 0.628 0.830
53 N 0.909 0.917 0.423
54 N 0.958 0.721 0.171
55 N 0.498 0.911 0.648
56 N 0.879 0.253 0.812
57 N 0.450 0.933 0.419
58 Ti 0.815 0.728 0.415
59 Ti 0.115 0.995 0.036
60 C 0.417 0.244 0.724
61 N 0.998 0.589 0.352
62 Ti 0.359 0.192 0.307
63 N 0.619 0.872 0.170
64 C 0.083 0.756 0.224
65 C 0.855 0.719 0.948
66 N 0.621 0.747 0.312
67 N 0.291 0.859 0.013
68 Ti 0.368 0.649 0.329
69 N 0.577 0.580 0.433
70 Ti 0.806 0.954 0.895
71 Ti 0.141 0.808 0.807
72 N 0.423 0.080 0.067
73 N 0.002 0.089 0.148
74 N 0.076 0.299 0.595
75 N 0.050 0.067 0.919
76 N 0.317 0.570 0.959
77 Ti 0.885 0.495 0.464
78 Ti 0.632 0.149 0.171
79 N 0.683 0.070 0.541
80 C 0.645 0.281 0.448
81 Ti 0.641 0.692 0.193
82 N 0.708 0.481 0.729
83 N 0.379 0.247 0.188
84 N 0.923 0.420 0.933
85 N 0.217 0.786 0.278
86 N 0.924 0.799 0.905
87 N 0.409 0.583 0.577
88 N 0.886 0.934 0.772
89 N 0.381 0.372 0.330
90 N 0.091 0.417 0.077
91 N 0.950 0.567 0.581
92 Ti 0.194 0.454 0.605
93 Ti 0.615 0.505 0.964
94 C 0.984 0.641 0.519
95 N 0.614 0.066 0.272
96 N 0.183 0.430 0.459
97 N 0.791 0.641 0.987
98 C 0.283 0.401 0.394
99 Ti 0.385 0.005 0.536
100 N 0.604 0.778 0.505
101 Ti 0.185 0.228 0.085
102 C 0.484 0.859 0.481
103 Ti 0.685 0.272 0.915
104 N 0.591 0.083 0.923


# 6
First-principles (PBE) data for crystalline ZrTiCN at its relaxed geometry, as listed in the Materials Project.

Results
Energy of formation: -1.32 eV/atom
ρ: 6.036 Mg/m³

a = 5.496 Å, b = 5.496 Å, c = 5.496 Å
α = 33.65°, β = 33.65°, γ = 33.65°
Positions (direct):
1 N 0.495 0.495 0.495
2 Zr 0.250 0.250 0.250
3 C 0.006 0.006 0.006
4 Ti 0.749 0.749 0.749


# 7
First-principles (PBE) data for crystalline Tm2C3N6 at its relaxed geometry, as listed in the Materials Project.

Results
Energy of formation: -0.99 eV/atom
ρ: 5.536 Mg/m³

a = 7.331 Å, b = 7.331 Å, c = 5.202 Å
α = 84.04°, β = 84.04°, γ = 29.61°
Positions (direct):
1 Tm 0.866 0.866 0.569
2 N 0.690 0.690 0.666
3 N 0.657 0.657 0.141
4 N 0.343 0.343 0.859
5 C 0.672 0.672 0.906
6 Tm 0.134 0.134 0.431
7 N 0.310 0.310 0.334
8 C 0.328 0.328 0.094
9 C 0.000 0.000 0.000
10 N 0.011 0.011 0.762
11 N 0.989 0.989 0.238


# 8
First-principles (PBE) data for crystalline VCN2 at its relaxed geometry, as listed in the Materials Project.

Results
Energy of formation: -0.32 eV/atom
ρ: 4.091 Mg/m³

a = 2.898 Å, b = 2.899 Å, c = 10.145 Å
α = 90.00°, β = 90.00°, γ = 119.99°
Positions (direct):
1 V 0.000 0.000 0.500
2 N 0.667 0.334 0.127
3 C 0.667 0.334 0.250
4 C 0.333 0.666 0.750
5 V 0.000 0.000 0.000
6 N 0.333 0.666 0.627
7 N 0.333 0.666 0.873
8 N 0.667 0.334 0.373


# 9
First-principles (PBE) data for crystalline VC8N6 at its relaxed geometry, as listed in the Materials Project.

Results
Energy of formation: 0.14 eV/atom
ρ: 1.376 Mg/m³

a = 5.776 Å, b = 7.453 Å, c = 7.453 Å
α = 60.50°, β = 87.22°, γ = 87.22°
Positions (direct):
1 C 0.798 0.777 0.777
2 C 0.271 0.330 0.330
3 C 0.242 0.223 0.223
4 C 0.248 0.223 0.546
5 C 0.248 0.546 0.223
6 N 0.216 0.133 0.725
7 C 0.792 0.777 0.454
8 V 0.020 0.000 0.000
9 C 0.792 0.454 0.777
10 N 0.824 0.867 0.275
11 C 0.768 0.670 0.670
12 N 0.205 0.134 0.134
13 N 0.834 0.866 0.866
14 N 0.216 0.725 0.133
15 N 0.824 0.275 0.867


# 10
First-principles (PBE) data for crystalline VCN2 at its relaxed geometry, as listed in the Materials Project.

Results
Energy of formation: -0.28 eV/atom
ρ: 4.094 Mg/m³

a = 5.371 Å, b = 5.371 Å, c = 5.371 Å
α = 31.20°, β = 31.20°, γ = 31.20°
Positions (direct):
1 N 0.581 0.581 0.581
2 N 0.419 0.419 0.419
3 C 0.500 0.500 0.500
4 V 0.000 0.000 0.000


# 11
First-principles (PBE) data for crystalline V2CN at its relaxed geometry, as listed in the Materials Project.

Results
Energy of formation: -0.80 eV/atom
ρ: 5.949 Mg/m³
Polymorph energy (0 for the lowest one): 0 kJ/mol of formula units

a = 5.078 Å, b = 5.078 Å, c = 5.078 Å
α = 33.59°, β = 33.59°, γ = 33.59°
Positions (direct):
1 C 0.000 0.000 0.000
2 V 0.256 0.256 0.256
3 V 0.744 0.744 0.744
4 N 0.500 0.500 0.500


# 12
First-principles (PBE) data for crystalline V2CN at its relaxed geometry, as listed in the Materials Project.

Results
Energy of formation: -0.79 eV/atom
ρ: 5.975 Mg/m³
Polymorph energy (0 for the lowest one): 4 kJ/mol of formula units

a = 2.925 Å, b = 2.925 Å, c = 4.155 Å
α = 90.00°, β = 90.00°, γ = 90.00°
Positions (direct):
1 V 0.500 0.500 0.500
2 V 0.000 0.000 0.000
3 C 0.000 0.000 0.500
4 N 0.500 0.500 0.000


# 13
First-principles (PBE) data for crystalline VC8N6 at its relaxed geometry, as listed in the Materials Project.

Results
Energy of formation: 0.14 eV/atom
ρ: 1.882 Mg/m³

a = 5.269 Å, b = 7.339 Å, c = 10.544 Å
α = 90.00°, β = 90.00°, γ = 90.00°
Positions (direct):
1 C 0.425 0.000 0.337
2 N 0.212 0.791 0.077
3 C 0.575 0.000 0.663
4 C 0.615 0.000 0.244
5 N 0.788 0.209 0.923
6 C 0.385 0.000 0.756
7 C 0.686 0.839 0.618
8 N 0.232 0.000 0.837
9 N 0.788 0.791 0.923
10 N 0.232 0.500 0.663
11 N 0.768 0.000 0.163
12 N 0.788 0.291 0.577
13 C 0.314 0.161 0.382
14 N 0.788 0.709 0.577
15 N 0.212 0.209 0.077
16 C 0.575 0.500 0.837
17 N 0.768 0.500 0.337
18 C 0.425 0.500 0.163
19 C 0.385 0.500 0.744
20 C 0.686 0.339 0.882
21 C 0.615 0.500 0.256
22 C 0.686 0.161 0.618
23 N 0.212 0.709 0.423
24 V 0.000 0.500 0.500
25 C 0.314 0.661 0.118
26 C 0.686 0.661 0.882
27 N 0.212 0.291 0.423
28 C 0.314 0.839 0.382
29 C 0.314 0.339 0.118
30 V 0.000 0.000 0.000


# 14
First-principles (PBE) data for crystalline V2CN at its relaxed geometry, as listed in the Materials Project.

Results
Energy of formation: -0.80 eV/atom
ρ: 5.951 Mg/m³
Polymorph energy (0 for the lowest one): 0 kJ/mol of formula units

a = 5.092 Å, b = 5.092 Å, c = 5.092 Å
α = 132.05°, β = 132.05°, γ = 70.15°
Positions (direct):
1 C 0.750 0.250 0.500
2 C 0.000 0.000 0.000
3 V 0.992 0.492 0.500
4 N 0.250 0.750 0.500
5 N 0.500 0.500 0.000
6 V 0.758 0.758 0.000
7 V 0.242 0.242 0.000
8 V 0.508 0.008 0.500


# 15
First-principles (PBE) data for crystalline WC6N9 at its relaxed geometry, as listed in the Materials Project.

Results
Energy of formation: 0.19 eV/atom
ρ: 2.383 Mg/m³

a = 7.700 Å, b = 13.686 Å, c = 11.016 Å
α = 90.00°, β = 90.00°, γ = 27.29°
Positions (direct):
1 C 0.683 0.309 0.589
2 C 0.687 0.539 0.750
3 C 0.313 0.461 0.250
4 C 0.683 0.008 0.411
5 C 0.683 0.008 0.089
6 N 0.000 0.569 0.250
7 N 0.393 0.963 0.250
8 W 0.000 0.271 0.250
9 N 0.383 0.141 0.367
10 C 0.317 0.992 0.589
11 N 0.383 0.476 0.633
12 N 0.000 0.131 0.536
13 N 0.393 0.644 0.750
14 N 0.383 0.476 0.867
15 C 0.317 0.691 0.411
16 N 0.617 0.524 0.133
17 N 0.607 0.356 0.250
18 N 0.617 0.524 0.367
19 N 0.000 0.869 0.036
20 C 0.317 0.691 0.089
21 N 0.000 0.869 0.464
22 C 0.317 0.992 0.911
23 C 0.313 0.226 0.750
24 N 0.617 0.859 0.867
25 N 0.000 0.431 0.750
26 W 0.000 0.729 0.750
27 N 0.617 0.859 0.633
28 N 0.000 0.131 0.964
29 C 0.687 0.774 0.250
30 C 0.683 0.309 0.911
31 N 0.607 0.037 0.750
32 N 0.383 0.141 0.133


# 16
First-principles (PBE) data for crystalline ZnC2N2 at its relaxed geometry, as listed in the Materials Project.

Results
Energy of formation: 0.05 eV/atom
ρ: 1.855 Mg/m³

a = 5.946 Å, b = 5.946 Å, c = 5.946 Å
α = 90.00°, β = 90.00°, γ = 90.00°
Positions (direct):
1 N 0.309 0.691 0.691
2 N 0.691 0.691 0.309
3 N 0.691 0.309 0.691
4 Zn 0.000 0.000 0.000
5 Zn 0.500 0.500 0.500
6 C 0.196 0.804 0.804
7 C 0.196 0.196 0.196
8 C 0.804 0.804 0.196
9 C 0.804 0.196 0.804
10 N 0.309 0.309 0.309